The following is a PBE-GGA calculation of crystalline YV2Fe5Co5 at its relaxed geometry, from the Materials Project database.

Lattice parameters (Å, degrees): 4.677 6.405 6.405 97.47 111.41 68.59
Sites, in units of the cell vectors:
V: 0.000 0.359 0.359
V: 0.000 0.642 0.642
Fe: 0.002 0.999 0.502
Fe: 0.500 0.225 0.225
Fe: 0.499 0.502 0.999
Fe: 0.501 0.999 0.502
Fe: 0.998 0.502 0.999
Co: 0.726 0.775 0.226
Co: 0.274 0.226 0.775
Co: 0.500 0.776 0.776
Co: 0.641 0.357 0.640
Co: 0.359 0.640 0.357
Y: 0.000 0.998 0.998

Properties
Energy of formation, eV/atom: -0.086
Space-group type: No. 44
Calculated total energy, eV/atom: -7.97
V, Å³/cell: 166.3